The following is a DFT calculation (GGA-PBE) of Ba3In2O6 after structural relaxation.

a = 4.2577 Å, b = 4.2577 Å, c = 21.9827 Å
α = 90.00°, β = 90.00°, γ = 90.00°
Closest atoms and distances in Å follow each position.
Space group I4/mmm (No. 139)
Asymmetric unit:
Ba 0.0000 0.0000 0.0000 [2 per cell]  8 O 2.82
Ba 0.0000 0.0000 0.1830 [4 per cell]  1 O 2.60
In 0.0000 0.0000 0.3972 [4 per cell]  5 O 2.11-2.17
O 0.0000 0.0000 0.3014 [4 per cell]  1 In 2.11
O 0.0000 0.5000 0.0839 [8 per cell]  2 In 2.17

**Crystal system**: tetragonal
**ΔE_f**: -2503 meV/atom